meta-GGA r2SCAN SrIn2S4, optimized geometry; volume = 1473.68 Å³ per cell; space-group type = Fddd, No. 70; ρ = 4.016 g/cm3; VASP energy = -14.4736 eV per atom; formation energy from the elements = -8.88 eV/f.u.
1.0
0.000 10.563 10.638
6.558 0.001 10.637
6.558 10.563 0.001
Sr In S
8 16 32
Direct
0.750 0.750 0.750
0.500 0.500 0.500
0.250 0.250 0.250
0.000 0.000 0.000
0.003 0.497 0.003
0.497 0.003 0.497
0.247 0.753 0.247
0.753 0.247 0.753
0.270 0.088 0.981
0.662 0.981 0.088
0.981 0.662 0.270
0.088 0.270 0.662
0.980 0.162 0.269
0.588 0.269 0.162
0.269 0.588 0.980
0.162 0.980 0.588
0.511 0.764 0.238
0.488 0.238 0.764
0.238 0.488 0.510
0.764 0.510 0.488
0.740 0.486 0.012
0.762 0.012 0.486
0.012 0.762 0.740
0.486 0.740 0.762
0.769 0.808 0.478
0.944 0.478 0.808
0.478 0.944 0.769
0.808 0.769 0.944
0.481 0.442 0.772
0.306 0.772 0.442
0.772 0.306 0.481
0.442 0.481 0.306
0.976 0.462 0.278
0.284 0.278 0.462
0.278 0.284 0.976
0.462 0.975 0.284
0.274 0.788 0.972
0.966 0.972 0.788
0.972 0.966 0.274
0.788 0.274 0.966
0.712 0.037 0.215
0.036 0.215 0.037
0.215 0.036 0.712
0.037 0.712 0.036
0.538 0.213 0.035
0.214 0.035 0.213
0.035 0.214 0.538
0.213 0.538 0.214
0.715 0.036 0.711
0.539 0.711 0.036
0.711 0.539 0.715
0.036 0.715 0.539
0.535 0.214 0.539
0.711 0.539 0.214
0.539 0.711 0.535
0.214 0.535 0.711